# 1
## KScB4H16 (PBE)

Data for an optimized crystal structure of KScB4H16.

Computed properties:
As for the calculated formation energy: -395 meV/atom. For the MP2020-corrected energy, the calculation gives -388.577 eV/cell. Its magnetization is 0.03 μB per formula unit.

a = 12.5827 Å, b = 8.2499 Å, c = 9.9714 Å
α = 90.00°, β = 90.00°, γ = 90.00°
Fractional positions:
1 H 0.9474 0.0100 0.7801
2 H 0.2717 0.7500 0.6130
3 H 0.4394 0.3703 0.4136
4 H 0.5606 0.8703 0.5864
5 H 0.9394 0.1297 0.0864
6 H 0.3220 0.9299 0.8230
7 B 0.1663 0.2500 0.0173
8 Sc 0.4420 0.7500 0.7040
9 K 0.6930 0.2500 0.8480
10 H 0.4186 0.1047 0.9026
11 H 0.9474 0.4900 0.7801
12 H 0.1082 0.1294 0.0294
13 H 0.5814 0.6047 0.0974
14 H 0.2992 0.2500 0.4244
15 H 0.6780 0.4299 0.1770
16 B 0.9128 0.9842 0.6656
17 H 0.0606 0.8703 0.9136
18 H 0.0310 0.3767 0.3844
19 H 0.7896 0.7500 0.0892
20 H 0.7992 0.2500 0.0756
21 H 0.4690 0.6233 0.8844
22 H 0.5310 0.3767 0.1156
23 B 0.5872 0.0158 0.1656
24 H 0.3918 0.6294 0.5294
25 H 0.1780 0.0701 0.3230
26 H 0.2283 0.2500 0.1130
27 H 0.1780 0.4299 0.3230
28 B 0.8876 0.2500 0.1213
29 H 0.0526 0.9900 0.2199
30 H 0.2008 0.7500 0.9244
31 H 0.7283 0.2500 0.3870
32 H 0.9690 0.8767 0.6156
33 H 0.2896 0.7500 0.4108
34 Sc 0.0580 0.2500 0.2040
35 B 0.0872 0.4842 0.3344
36 H 0.9186 0.1047 0.5974
37 H 0.2104 0.2500 0.9108
38 H 0.0310 0.1233 0.3844
39 H 0.4690 0.8767 0.8844
40 B 0.6663 0.2500 0.4827
41 H 0.6082 0.3706 0.4706
42 H 0.8871 0.2500 0.2456
43 H 0.0526 0.5100 0.2199
44 B 0.6124 0.7500 0.6213
45 H 0.0606 0.6297 0.9136
46 B 0.0872 0.0158 0.3344
47 H 0.5526 0.5100 0.2801
48 H 0.4186 0.3953 0.9026
49 B 0.4128 0.9842 0.8344
50 Sc 0.5580 0.2500 0.2960
51 H 0.7104 0.2500 0.5892
52 H 0.5526 0.9900 0.2801
53 H 0.0814 0.8953 0.4026
54 B 0.9128 0.5158 0.6656
55 H 0.1082 0.3706 0.0294
56 B 0.1124 0.7500 0.8787
57 H 0.6780 0.0701 0.1770
58 H 0.3918 0.8706 0.5294
59 K 0.1930 0.2500 0.6520
60 K 0.8070 0.7500 0.3480
61 B 0.3337 0.7500 0.5173
62 B 0.4128 0.5158 0.8344
63 H 0.7717 0.7500 0.8870
64 H 0.0814 0.6047 0.4026
65 H 0.3871 0.2500 0.2544
66 B 0.5872 0.4842 0.1656
67 H 0.5606 0.6297 0.5864
68 Sc 0.9420 0.7500 0.7960
69 H 0.8220 0.9299 0.6770
70 H 0.8918 0.8706 0.9706
71 H 0.6082 0.1294 0.4706
72 H 0.3220 0.5701 0.8230
73 H 0.1129 0.7500 0.7544
74 H 0.8918 0.6294 0.9706
75 K 0.3070 0.7500 0.1520
76 B 0.3876 0.2500 0.3787
77 H 0.4474 0.0100 0.7199
78 H 0.5814 0.8953 0.0974
79 H 0.5310 0.1233 0.1156
80 H 0.7008 0.7500 0.5756
81 H 0.9186 0.3953 0.5974
82 H 0.8220 0.5701 0.6770
83 H 0.4394 0.1297 0.4136
84 H 0.4474 0.4900 0.7199
85 H 0.6129 0.7500 0.7456
86 H 0.9394 0.3703 0.0864
87 H 0.9690 0.6233 0.6156
88 B 0.8337 0.7500 0.9827


# 2
## Sb6O13 (PBE)

Data for an optimized crystal structure of Sb6O13.

Computed properties:
As for the calculated formation energy: -1781 meV/atom. For the MP2020-corrected energy, the calculation gives -245.891 eV/cell.

a = 7.4318 Å, b = 7.3992 Å, c = 10.3568 Å
α = 89.02°, β = 90.00°, γ = 90.00°
Fractional positions:
1 O 0.0524 0.6901 0.3736
2 Sb 0.0000 0.5000 0.0000
3 O 0.2500 0.5177 0.5809
4 O 0.0515 0.2038 0.1230
5 Sb 0.2500 0.7501 0.2541
6 O 0.5515 0.7962 0.8770
7 Sb 0.5000 0.5000 0.0000
8 O 0.0565 0.7876 0.1175
9 O 0.9476 0.3099 0.6264
10 O 0.4476 0.6901 0.3736
11 O 0.5524 0.3099 0.6264
12 O 0.7500 0.0028 0.0715
13 O 0.7500 0.0026 0.6818
14 Sb 0.7500 0.2713 0.2714
15 O 0.5454 0.6900 0.6339
16 Sb 0.0000 0.0000 0.0000
17 O 0.2500 0.9974 0.3182
18 O 0.5565 0.2124 0.8825
19 Sb 0.7500 0.2499 0.7459
20 O 0.4546 0.3100 0.3661
21 O 0.9485 0.7962 0.8770
22 Sb 0.0000 0.5000 0.5000
23 O 0.9546 0.6900 0.6339
24 O 0.2500 0.4946 0.1659
25 Sb 0.5000 0.0000 0.0000
26 Sb 0.5000 0.5000 0.5000
27 Sb 0.7500 0.7582 0.7480
28 O 0.4485 0.2038 0.1230
29 O 0.4435 0.7876 0.1175
30 Sb 0.2500 0.2418 0.2520
31 O 0.7500 0.4578 0.1303
32 O 0.0454 0.3100 0.3661
33 O 0.7500 0.4823 0.4191
34 O 0.2500 0.9972 0.9285
35 O 0.9435 0.2124 0.8825
36 O 0.2500 0.5422 0.8697
37 Sb 0.2500 0.7287 0.7286
38 O 0.7500 0.5054 0.8341


# 3
## Cs2KSbBr6 (PBE)

Data for an optimized crystal structure of Cs2KSbBr6.

Computed properties:
As for the calculated formation energy: -1667 meV/atom. For the MP2020-corrected energy, the calculation gives -33.519 eV/cell. Its magnetization is 0.00 μB per formula unit.

a = 8.4680 Å, b = 8.4680 Å, c = 8.4680 Å
α = 60.00°, β = 60.00°, γ = 60.00°
Fractional positions:
1 Br 0.2353 0.7647 0.7647
2 Cs 0.2500 0.2500 0.2500
3 Cs 0.7500 0.7500 0.7500
4 Br 0.7647 0.2353 0.2353
5 Sb 0.0000 0.0000 0.0000
6 Br 0.7647 0.2353 0.7647
7 K 0.5000 0.5000 0.5000
8 Br 0.2353 0.7647 0.2353
9 Br 0.7647 0.7647 0.2353
10 Br 0.2353 0.2353 0.7647


# 4
## Zn2SiH2O5 (PBE)

Data for an optimized crystal structure of Zn2SiH2O5.

Computed properties:
As for the calculated formation energy: -2080 meV/atom. For the largest piezoelectric modulus, the calculation gives 0.6 C/m2. For the MP2020-corrected energy, the calculation gives -120.537 eV/cell. Its magnetization is 0.00 μB per formula unit.

a = 7.3770 Å, b = 7.3770 Å, c = 7.3770 Å
α = 138.95°, β = 109.49°, γ = 84.96°
Fractional positions:
1 H 0.0893 0.8529 0.9421
2 Si 0.6460 0.1377 0.4917
3 O 0.5444 0.0679 0.2036
4 H 0.1240 0.3189 0.4428
5 O 0.5000 0.9108 0.4108
6 O 0.1356 0.6592 0.2036
7 O 0.6665 0.4718 0.8053
8 O 0.4556 0.6592 0.5235
9 O 0.1963 0.4660 0.6623
10 O 0.3335 0.1389 0.8053
11 Zn 0.8662 0.6593 0.2000
12 H 0.9107 0.8529 0.7636
13 Si 0.3540 0.8457 0.4917
14 O 0.0000 0.9730 0.9730
15 O 0.8644 0.0679 0.5235
16 Zn 0.5407 0.3338 0.2000
17 H 0.8760 0.3189 0.1949
18 Zn 0.4593 0.6593 0.7931
19 Zn 0.1338 0.3338 0.7931
20 O 0.8037 0.4660 0.2697